## UCu4Se2O14 (PBE)

Data for a geometry-optimized UCu4Se2O14 structure.

Cell: 5.3842 5.8853 19.9352 Å, 90.00 90.00 90.00°
Closest atoms and distances in Å follow each position.
Fractional coordinates of all 42 atoms:
U 0.6857 0.5000 0.4997  2 O 1.82
U 0.3143 0.0000 0.9997  2 O 1.82
Cu 0.6049 0.5000 0.2493  4 O 1.88-1.91
Cu 0.3951 0.0000 0.7493  4 O 1.88-1.91
Cu 0.3917 0.5000 0.7526  4 O 1.90-1.92
Cu 0.6083 0.0000 0.2526  4 O 1.90-1.92
Cu 0.1072 0.2517 0.2509  4 O 1.81-1.88
Cu 0.1072 0.7483 0.2509  4 O 1.81-1.88
Cu 0.8928 0.2483 0.7509  4 O 1.81-1.88
Cu 0.8928 0.7517 0.7509  4 O 1.81-1.88
Se 0.9825 0.5000 0.0830  3 O 1.70-1.72
Se 0.0175 0.0000 0.5830  3 O 1.70-1.72
Se 0.6464 0.5000 0.9174  3 O 1.71-1.72
Se 0.3536 0.0000 0.4174  3 O 1.71-1.72
O 0.3975 0.5000 0.5472  1 U 1.82
O 0.6025 0.0000 0.0472  1 U 1.82
O 0.9717 0.5000 0.4514  1 U 1.82
O 0.0283 0.0000 0.9514  1 U 1.82
O 0.9332 0.5000 0.1673  1 Se 1.70
O 0.0668 0.0000 0.6673  1 Se 1.70
O 0.6887 0.5000 0.8326  1 Se 1.71
O 0.3113 0.0000 0.3326  1 Se 1.71
O 0.1808 0.2756 0.0701  1 Se 1.72
O 0.1808 0.7244 0.0701  1 Se 1.72
O 0.8192 0.2244 0.5701  1 Se 1.72
O 0.8192 0.7756 0.5701  1 Se 1.72
O 0.4471 0.2761 0.9299  1 Se 1.72
O 0.4471 0.7239 0.9299  1 Se 1.72
O 0.5529 0.2239 0.4299  1 Se 1.72
O 0.5529 0.7761 0.4299  1 Se 1.72
O 0.9907 0.5000 0.7052  2 Cu 1.82
O 0.0093 0.0000 0.2052  2 Cu 1.82
O 0.2008 0.5000 0.2986  2 Cu 1.81
O 0.7992 0.0000 0.7986  2 Cu 1.81
O 0.7859 0.2573 0.2868  3 Cu 1.87-1.92
O 0.7859 0.7427 0.2868  3 Cu 1.87-1.92
O 0.2141 0.2427 0.7868  3 Cu 1.87-1.92
O 0.2141 0.7573 0.7868  3 Cu 1.87-1.92
O 0.4288 0.2454 0.2143  3 Cu 1.88-1.91
O 0.4288 0.7546 0.2143  3 Cu 1.88-1.91
O 0.5712 0.2546 0.7143  3 Cu 1.88-1.91
O 0.5712 0.7454 0.7143  3 Cu 1.88-1.91

***

## YCu2SeO2 (PBE)

Data for a geometry-optimized YCu2SeO2 structure.

Cell: 3.5859 3.5859 11.9421 Å, 90.00 90.00 90.00°
Closest atoms and distances in Å follow each position.
Fractional coordinates of all 6 atoms:
Y 0.5000 0.5000 0.5000  2 O 2.04
Cu 0.5000 0.5000 0.1821  1 O 1.75
Cu 0.5000 0.5000 0.8179  1 O 1.75
Se 0.5000 0.5000 0.0000  2 Cu 2.17
O 0.5000 0.5000 0.6711  1 Cu 1.75
O 0.5000 0.5000 0.3289  1 Cu 1.75

***

## Cu5Si4O14 (PBE)

Data for a geometry-optimized Cu5Si4O14 structure.

Cell: 5.4022 9.8344 20.0867 Å, 90.00 90.00 90.00°
Closest atoms and distances in Å follow each position.
Fractional coordinates of all 92 atoms:
Cu 0.5000 0.0000 0.5000  4 O 1.91-1.94
Cu 0.0000 0.5000 0.5000  4 O 1.91-1.94
Cu 0.0000 0.0000 0.0000  4 O 1.91-1.94
Cu 0.5000 0.5000 0.0000  4 O 1.91-1.94
Cu 0.9503 0.1718 0.4759  4 O 1.93-2.05
Cu 0.5497 0.6718 0.5241  4 O 1.93-2.05
Cu 0.4503 0.8282 0.0241  4 O 1.93-2.05
Cu 0.0497 0.3282 0.9759  4 O 1.93-2.05
Cu 0.0497 0.8282 0.5241  4 O 1.93-2.05
Cu 0.4503 0.3282 0.4759  4 O 1.93-2.05
Cu 0.5497 0.1718 0.9759  4 O 1.93-2.05
Cu 0.9503 0.6718 0.0241  4 O 1.93-2.05
Cu 0.0201 0.2511 0.2203  4 O 1.91-1.95
Cu 0.4799 0.7511 0.7797  4 O 1.91-1.95
Cu 0.5201 0.7489 0.2797  4 O 1.91-1.95
Cu 0.9799 0.2489 0.7203  4 O 1.91-1.95
Cu 0.9799 0.7489 0.7797  4 O 1.91-1.95
Cu 0.5201 0.2489 0.2203  4 O 1.91-1.95
Cu 0.4799 0.2511 0.7203  4 O 1.91-1.95
Cu 0.0201 0.7511 0.2797  4 O 1.91-1.95
Si 0.2642 0.1007 0.3444  4 O 1.62-1.65
Si 0.2358 0.6007 0.6556  4 O 1.62-1.65
Si 0.7642 0.8993 0.1556  4 O 1.62-1.65
Si 0.7358 0.3993 0.8444  4 O 1.62-1.65
Si 0.7358 0.8993 0.6556  4 O 1.62-1.65
Si 0.7642 0.3993 0.3444  4 O 1.62-1.65
Si 0.2358 0.1007 0.8444  4 O 1.62-1.65
Si 0.2642 0.6007 0.1556  4 O 1.62-1.65
Si 0.2745 0.5490 0.3658  4 O 1.64-1.66
Si 0.2255 0.0490 0.6342  4 O 1.64-1.66
Si 0.7745 0.4510 0.1342  4 O 1.64-1.66
Si 0.7255 0.9510 0.8658  4 O 1.64-1.66
Si 0.7255 0.4510 0.6342  4 O 1.64-1.66
Si 0.7745 0.9510 0.3658  4 O 1.64-1.66
Si 0.2255 0.5490 0.8658  4 O 1.64-1.66
Si 0.2745 0.0490 0.1342  4 O 1.64-1.66
O 0.5238 0.4954 0.3272  2 Si 1.64
O 0.9762 0.9954 0.6728  2 Si 1.64
O 0.0238 0.5046 0.1728  2 Si 1.64
O 0.4762 0.0046 0.8272  2 Si 1.64
O 0.4762 0.5046 0.6728  2 Si 1.64
O 0.0238 0.0046 0.3272  2 Si 1.64
O 0.9762 0.4954 0.8272  2 Si 1.64
O 0.5238 0.9954 0.1728  2 Si 1.64
O 0.2412 0.1547 0.4204  1 Si 1.62
O 0.2588 0.6547 0.5796  1 Si 1.62
O 0.7412 0.8453 0.0796  1 Si 1.62
O 0.7588 0.3453 0.9204  1 Si 1.62
O 0.7588 0.8453 0.5796  1 Si 1.62
O 0.7412 0.3453 0.4204  1 Si 1.62
O 0.2588 0.1547 0.9204  1 Si 1.62
O 0.2412 0.6547 0.0796  1 Si 1.62
O 0.2970 0.5084 0.4456  1 Si 1.66
O 0.2030 0.0084 0.5544  1 Si 1.66
O 0.7970 0.4916 0.0544  1 Si 1.66
O 0.7030 0.9916 0.9456  1 Si 1.66
O 0.7030 0.4916 0.5544  1 Si 1.66
O 0.7970 0.9916 0.4456  1 Si 1.66
O 0.2030 0.5084 0.9456  1 Si 1.66
O 0.2970 0.0084 0.0544  1 Si 1.66
O 0.2706 0.2185 0.2862  1 Si 1.65
O 0.2294 0.7185 0.7138  1 Si 1.65
O 0.7706 0.7815 0.2138  1 Si 1.65
O 0.7294 0.2815 0.7862  1 Si 1.65
O 0.7294 0.7815 0.7138  1 Si 1.65
O 0.7706 0.2815 0.2862  1 Si 1.65
O 0.2294 0.2185 0.7862  1 Si 1.65
O 0.2706 0.7185 0.2138  1 Si 1.65
O 0.2671 0.7115 0.3464  1 Si 1.64
O 0.2329 0.2115 0.6536  1 Si 1.64
O 0.7671 0.2885 0.1536  1 Si 1.64
O 0.7329 0.7885 0.8464  1 Si 1.64
O 0.7329 0.2885 0.6536  1 Si 1.64
O 0.7671 0.7885 0.3464  1 Si 1.64
O 0.2329 0.7115 0.8464  1 Si 1.64
O 0.2671 0.2115 0.1536  1 Si 1.64
O 0.5213 0.0153 0.3341  2 Si 1.64
O 0.9787 0.5153 0.6659  2 Si 1.64
O 0.0213 0.9847 0.1659  2 Si 1.64
O 0.4787 0.4847 0.8341  2 Si 1.64
O 0.4787 0.9847 0.6659  2 Si 1.64
O 0.0213 0.4847 0.3341  2 Si 1.64
O 0.9787 0.0153 0.8341  2 Si 1.64
O 0.5213 0.5153 0.1659  2 Si 1.64
O 0.3764 0.3219 0.0177  3 Cu 1.91-1.96
O 0.1236 0.8219 0.9823  3 Cu 1.91-1.96
O 0.8764 0.6781 0.4823  3 Cu 1.91-1.96
O 0.6236 0.1781 0.5177  3 Cu 1.91-1.96
O 0.6236 0.6781 0.9823  3 Cu 1.91-1.96
O 0.8764 0.1781 0.0177  3 Cu 1.91-1.96
O 0.1236 0.3219 0.5177  3 Cu 1.91-1.96
O 0.3764 0.8219 0.4823  3 Cu 1.91-1.96

The energy above the most stable polymorph in this dataset comes out at 0 kJ/mol of formula units.

***

## Cu2SiO4 (PBE)

Data for a geometry-optimized Cu2SiO4 structure.

Cell: 5.0876 4.8026 5.0879 Å, 58.02 90.00 121.98°
Closest atoms and distances in Å follow each position.
Fractional coordinates of all 7 atoms:
Cu 0.5000 0.0001 0.5000  4 O 1.97
Cu 0.0000 0.0000 0.0000  4 O 1.97
Si 0.7500 0.5000 0.7500  4 O 1.65
O 0.7052 0.7904 0.4151  1 Si 1.65
O 0.7945 0.2097 0.7052  1 Si 1.65
O 0.4150 0.2096 0.0852  1 Si 1.65
O 0.0852 0.7904 0.7945  1 Si 1.65

***

## Cu5Si4O14 (PBE)

Data for a geometry-optimized Cu5Si4O14 structure.

Cell: 5.5700 9.4835 20.0186 Å, 90.00 90.00 90.00°
Closest atoms and distances in Å follow each position.
Fractional coordinates of all 92 atoms:
Cu 0.6820 0.2534 0.2351  4 O 1.92-1.93
Cu 0.8180 0.7534 0.7649  4 O 1.92-1.93
Cu 0.1820 0.7466 0.2649  4 O 1.92-1.93
Cu 0.3180 0.2466 0.7351  4 O 1.92-1.93
Cu 0.3180 0.7466 0.7649  4 O 1.92-1.93
Cu 0.1820 0.2466 0.2351  4 O 1.92-1.93
Cu 0.8180 0.2534 0.7351  4 O 1.92-1.93
Cu 0.6820 0.7534 0.2649  4 O 1.92-1.93
Cu 0.0286 0.1821 0.9970  3 O 1.92-1.95
Cu 0.4714 0.6821 0.0030  3 O 1.92-1.95
Cu 0.5286 0.8179 0.5030  3 O 1.92-1.95
Cu 0.9714 0.3179 0.4970  3 O 1.92-1.95
Cu 0.9714 0.8179 0.0030  3 O 1.92-1.95
Cu 0.5286 0.3179 0.9970  3 O 1.92-1.95
Cu 0.4714 0.1821 0.4970  3 O 1.92-1.95
Cu 0.0286 0.6821 0.5030  3 O 1.92-1.95
Cu 0.0000 0.5000 0.0000  4 O 1.86-1.97
Cu 0.5000 0.0000 0.0000  4 O 1.86-1.97
Cu 0.5000 0.5000 0.5000  4 O 1.86-1.97
Cu 0.0000 0.0000 0.5000  4 O 1.86-1.97
Si 0.4237 0.4409 0.1377  4 O 1.63-1.66
Si 0.0763 0.9409 0.8623  4 O 1.63-1.66
Si 0.9237 0.5591 0.3623  4 O 1.63-1.66
Si 0.5763 0.0591 0.6377  4 O 1.63-1.66
Si 0.5763 0.5591 0.8623  4 O 1.63-1.66
Si 0.9237 0.0591 0.1377  4 O 1.63-1.66
Si 0.0763 0.4409 0.6377  4 O 1.63-1.66
Si 0.4237 0.9409 0.3623  4 O 1.63-1.66
Si 0.9225 0.5914 0.1483  4 O 1.64-1.66
Si 0.5775 0.0914 0.8517  4 O 1.64-1.66
Si 0.4225 0.4086 0.3517  4 O 1.64-1.66
Si 0.0775 0.9086 0.6483  4 O 1.64-1.66
Si 0.0775 0.4086 0.8517  4 O 1.64-1.66
Si 0.4225 0.9086 0.1483  4 O 1.64-1.66
Si 0.5775 0.5914 0.6483  4 O 1.64-1.66
Si 0.9225 0.0914 0.3517  4 O 1.64-1.66
O 0.4312 0.2799 0.1703  1 Si 1.66
O 0.0688 0.7799 0.8297  1 Si 1.66
O 0.9312 0.7201 0.3297  1 Si 1.66
O 0.5688 0.2201 0.6703  1 Si 1.66
O 0.5688 0.7201 0.8297  1 Si 1.66
O 0.9312 0.2201 0.1703  1 Si 1.66
O 0.0688 0.2799 0.6703  1 Si 1.66
O 0.4312 0.7799 0.3297  1 Si 1.66
O 0.4032 0.4611 0.0572  1 Si 1.63
O 0.0968 0.9611 0.9428  1 Si 1.63
O 0.9032 0.5389 0.4428  1 Si 1.63
O 0.5968 0.0389 0.5572  1 Si 1.63
O 0.5968 0.5389 0.9428  1 Si 1.63
O 0.9032 0.0389 0.0572  1 Si 1.63
O 0.0968 0.4611 0.5572  1 Si 1.63
O 0.4032 0.9611 0.4428  1 Si 1.63
O 0.1714 0.5075 0.1680  2 Si 1.65-1.66
O 0.3286 0.0075 0.8320  2 Si 1.65-1.66
O 0.6714 0.4925 0.3320  2 Si 1.65-1.66
O 0.8286 0.9925 0.6680  2 Si 1.65-1.66
O 0.8286 0.4925 0.8320  2 Si 1.65-1.66
O 0.6714 0.9925 0.1680  2 Si 1.65-1.66
O 0.3286 0.5075 0.6680  2 Si 1.65-1.66
O 0.1714 0.0075 0.3320  2 Si 1.65-1.66
O 0.6750 0.5067 0.1688  2 Si 1.65
O 0.8250 0.0067 0.8312  2 Si 1.65
O 0.1750 0.4933 0.3312  2 Si 1.65
O 0.3250 0.9933 0.6688  2 Si 1.65
O 0.3250 0.4933 0.8312  2 Si 1.65
O 0.1750 0.9933 0.1688  2 Si 1.65
O 0.8250 0.5067 0.6688  2 Si 1.65
O 0.6750 0.0067 0.3312  2 Si 1.65
O 0.9305 0.7280 0.1997  1 Si 1.66
O 0.5695 0.2280 0.8003  1 Si 1.66
O 0.4305 0.2720 0.3003  1 Si 1.66
O 0.0695 0.7720 0.6997  1 Si 1.66
O 0.0695 0.2720 0.8003  1 Si 1.66
O 0.4305 0.7720 0.1997  1 Si 1.66
O 0.5695 0.7280 0.6997  1 Si 1.66
O 0.9305 0.2280 0.3003  1 Si 1.66
O 0.9035 0.6367 0.0692  1 Si 1.64
O 0.5965 0.1367 0.9308  1 Si 1.64
O 0.4035 0.3633 0.4308  1 Si 1.64
O 0.0965 0.8633 0.5692  1 Si 1.64
O 0.0965 0.3633 0.9308  1 Si 1.64
O 0.4035 0.8633 0.0692  1 Si 1.64
O 0.5965 0.6367 0.5692  1 Si 1.64
O 0.9035 0.1367 0.4308  1 Si 1.64
O 0.1516 0.6614 0.9685  3 Cu 1.86-1.92
O 0.3484 0.1614 0.0315  3 Cu 1.86-1.92
O 0.6516 0.3386 0.5315  3 Cu 1.86-1.92
O 0.8484 0.8386 0.4685  3 Cu 1.86-1.92
O 0.8484 0.3386 0.0315  3 Cu 1.86-1.92
O 0.6516 0.8386 0.9685  3 Cu 1.86-1.92
O 0.3484 0.6614 0.4685  3 Cu 1.86-1.92
O 0.1516 0.1614 0.5315  3 Cu 1.86-1.92

The energy above the most stable polymorph in this dataset comes out at 101 kJ/mol of formula units.

***

## Cu5Si4O14 (PBE)

Data for a geometry-optimized Cu5Si4O14 structure.

Cell: 5.7181 7.6447 7.7268 Å, 114.40 88.20 109.71°
Closest atoms and distances in Å follow each position.
Fractional coordinates of all 23 atoms:
Cu 0.9144 0.6063 0.1847  4 O 1.82-1.97
Cu 0.3151 0.4261 0.2801  4 O 1.86-1.93
Cu 0.6849 0.5739 0.7199  4 O 1.86-1.93
Cu 0.0856 0.3937 0.8153  4 O 1.82-1.97
Cu 0.0000 0.0000 0.0000  4 O 1.94-1.95
Si 0.4880 0.2375 0.8546  4 O 1.62-1.67
Si 0.8030 0.2131 0.4134  4 O 1.62-1.68
Si 0.1970 0.7869 0.5866  4 O 1.62-1.68
Si 0.5120 0.7625 0.1454  4 O 1.62-1.67
O 0.3080 0.2243 0.0249  1 Si 1.66
O 0.4365 0.0008 0.7082  2 Si 1.62-1.65
O 0.5900 0.6290 0.2439  1 Si 1.67
O 0.9986 0.7855 0.7513  1 Si 1.68
O 0.0907 0.8120 0.4102  1 Si 1.62
O 0.9093 0.1880 0.5898  1 Si 1.62
O 0.7841 0.3654 0.9473  1 Si 1.65
O 0.5635 0.9992 0.2918  2 Si 1.62-1.65
O 0.2891 0.5910 0.5309  1 Si 1.64
O 0.0014 0.2145 0.2487  1 Si 1.68
O 0.7109 0.4090 0.4691  1 Si 1.64
O 0.4100 0.3710 0.7561  1 Si 1.67
O 0.6920 0.7757 0.9751  1 Si 1.66
O 0.2159 0.6346 0.0527  1 Si 1.65

The energy above the most stable polymorph in this dataset comes out at 37 kJ/mol of formula units.

***

## Sr2CuSi2O7 (PBE)

Data for a geometry-optimized Sr2CuSi2O7 structure.

Cell: 8.2065 8.2065 5.1114 Å, 90.00 90.00 90.00°
Closest atoms and distances in Å follow each position.
Fractional coordinates of all 24 atoms:
Sr 0.6665 0.1665 0.9912  8 O 2.58-2.88
Sr 0.8335 0.6665 0.0088  8 O 2.58-2.88
Sr 0.1665 0.3335 0.0088  8 O 2.58-2.88
Sr 0.3335 0.8335 0.9912  8 O 2.58-2.88
Cu 0.5000 0.5000 0.5000  4 O 1.95
Cu 0.0000 0.0000 0.5000  4 O 1.95
Si 0.8638 0.3638 0.5365  4 O 1.62-1.69
Si 0.6362 0.8638 0.4635  4 O 1.62-1.69
Si 0.3638 0.1362 0.4635  4 O 1.62-1.69
Si 0.1362 0.6362 0.5365  4 O 1.62-1.69
O 0.6933 0.4185 0.6796  1 Si 1.64
O 0.3067 0.5815 0.6796  1 Si 1.64
O 0.4185 0.3067 0.3204  1 Si 1.64
O 0.5815 0.6933 0.3204  1 Si 1.64
O 0.9185 0.1933 0.6796  1 Si 1.64
O 0.8067 0.9185 0.3204  1 Si 1.64
O 0.1933 0.0815 0.3204  1 Si 1.64
O 0.0815 0.8067 0.6796  1 Si 1.64
O 0.8650 0.3650 0.2205  1 Si 1.62
O 0.6350 0.8650 0.7795  1 Si 1.62
O 0.0000 0.5000 0.6525  2 Si 1.69
O 0.5000 0.0000 0.3475  2 Si 1.69
O 0.1350 0.6350 0.2205  1 Si 1.62
O 0.3650 0.1350 0.7795  1 Si 1.62

For the piezoelectric modulus e_max, the calculation gives 0.35 C/m².

***

## U2CuSi2O17 (PBE)

Data for a geometry-optimized U2CuSi2O17 structure.

Cell: 6.7974 7.0488 7.8589 Å, 73.03 71.55 86.40°
Closest atoms and distances in Å follow each position.
Fractional coordinates of all 22 atoms:
U 0.6374 0.2414 0.0002  2 O 1.82-1.90
U 0.3626 0.7586 0.9998  2 O 1.82-1.90
Cu 0.0000 0.5000 0.5000  4 O 1.76-1.93
Si 0.8508 0.7493 0.9394  4 O 1.60-1.76
Si 0.1492 0.2507 0.0606  4 O 1.60-1.76
O 0.6920 0.3354 0.7479  1 U 1.82
O 0.3080 0.6646 0.2521  1 U 1.82
O 0.4308 0.8632 0.7360  1 O 1.75, 1 U 1.90
O 0.5692 0.1368 0.2640  1 O 1.75, 1 U 1.90
O 0.6825 0.5680 0.9977  1 Si 1.63
O 0.3175 0.4320 0.0023  1 Si 1.63
O 0.6980 0.9351 0.9474  1 Si 1.62
O 0.3020 0.0649 0.0526  1 Si 1.62
O 0.0173 0.7476 0.7165  1 O 1.35
O 0.9827 0.2524 0.2835  1 O 1.35
O 0.0302 0.7421 0.0333  1 Si 1.60
O 0.9698 0.2579 0.9667  1 Si 1.60
O 0.1781 0.4032 0.6217  1 Cu 1.76
O 0.8219 0.5968 0.3783  1 Cu 1.76
O 0.0703 0.2680 0.4115  1 O 1.35
O 0.9297 0.7320 0.5885  1 O 1.35
O 0.5000 0.0000 0.5000  2 O 1.75

***

DFT total energy readings, ordered: -5.874 -5.109 -6.462 -6.175 -6.416 -6.445 -6.992 -7.000 eV/atom
MP2020-corrected energy readings, ordered: -6.332 -5.338 -6.880 -6.568 -6.834 -6.863 -7.393 -7.124 eV per atom